[1]
First-principles (meta-GGA r2SCAN) data for a relaxed KH5S2O9 crystal, as listed in the Materials Project database.

Computed properties:
V ... 11.43 Å³/atom
Final energy ... -116.85 eV per formula unit
M_tot ... 0.00 μB per cell

a b c (Å): 13.4659 7.1443 8.3881
angles (deg): 74.42 90.00 90.00
With the nearest neighbours (Å) after each atom.
Element x y z (fractional)
K: 0.4703 0.9046 0.7750  8 O 2.68-2.92
K: 0.9703 0.0954 0.7250  8 O 2.68-2.92
K: 0.5297 0.0954 0.2250  8 O 2.68-2.92
K: 0.0297 0.9046 0.2750  8 O 2.68-2.92
H: 0.4301 0.3762 0.5104  1 O 1.01
H: 0.9301 0.6238 0.9896  1 O 1.01
H: 0.5699 0.6238 0.4896  1 O 1.01
H: 0.0699 0.3762 0.0104  1 O 1.01
H: 0.7254 0.8398 0.9679  1 O 1.01
H: 0.2254 0.1602 0.5321  1 O 1.01
H: 0.2746 0.1602 0.0321  1 O 1.01
H: 0.7746 0.8398 0.4679  1 O 1.01
H: 0.7932 0.4455 0.7964  1 O 1.01
H: 0.2932 0.5545 0.7036  1 O 1.01
H: 0.2068 0.5545 0.2036  1 O 1.01
H: 0.7068 0.4455 0.2964  1 O 1.01
H: 0.6688 0.4573 0.7852  1 O 1.00
H: 0.1688 0.5427 0.7148  1 O 1.00
H: 0.3312 0.5427 0.2148  1 O 1.00
H: 0.8312 0.4573 0.2852  1 O 1.00
H: 0.7238 0.3039 0.9524  1 O 1.03
H: 0.2238 0.6961 0.5476  1 O 1.03
H: 0.2762 0.6961 0.0476  1 O 1.03
H: 0.7762 0.3039 0.4524  1 O 1.03
S: 0.4738 0.4004 0.7548  4 O 1.43-1.56
S: 0.9738 0.5996 0.7452  4 O 1.43-1.56
S: 0.5262 0.5996 0.2452  4 O 1.43-1.56
S: 0.0262 0.4004 0.2548  4 O 1.43-1.56
S: 0.7977 0.9870 0.1248  4 O 1.44-1.56
S: 0.2977 0.0130 0.3752  4 O 1.44-1.56
S: 0.2023 0.0130 0.8752  4 O 1.44-1.56
S: 0.7023 0.9870 0.6248  4 O 1.44-1.56
O: 0.4958 0.2465 0.8993  1 S 1.43
O: 0.9958 0.7535 0.6007  1 S 1.43
O: 0.5042 0.7535 0.1007  1 S 1.43
O: 0.0042 0.2465 0.3993  1 S 1.43
O: 0.5649 0.5030 0.6781  1 S 1.49, 2 H 1.59-1.65
O: 0.0649 0.4970 0.8219  1 S 1.49, 2 H 1.59-1.65
O: 0.4351 0.4970 0.3219  1 S 1.49, 2 H 1.59-1.65
O: 0.9351 0.5030 0.1781  1 S 1.49, 2 H 1.59-1.65
O: 0.4004 0.5403 0.7785  1 S 1.46, 1 H 1.57
O: 0.9004 0.4597 0.7215  1 S 1.46, 1 H 1.57
O: 0.5996 0.4597 0.2215  1 S 1.46, 1 H 1.57
O: 0.0996 0.5403 0.2785  1 S 1.46, 1 H 1.57
O: 0.4296 0.2961 0.6295  1 H 1.01
O: 0.9296 0.7039 0.8705  1 H 1.01
O: 0.5704 0.7039 0.3705  1 H 1.01
O: 0.0704 0.2961 0.1295  1 H 1.01
O: 0.8261 0.9169 0.2976  1 S 1.45, 1 H 1.55
O: 0.3261 0.0831 0.2024  1 S 1.45, 1 H 1.55
O: 0.1739 0.0831 0.7024  1 S 1.45, 1 H 1.55
O: 0.6739 0.9169 0.7976  1 S 1.45, 1 H 1.55
O: 0.8818 0.0554 0.0186  1 S 1.44
O: 0.3818 0.9446 0.4814  1 S 1.44
O: 0.1182 0.9446 0.9814  1 S 1.44
O: 0.6182 0.0554 0.5186  1 S 1.44
O: 0.7179 0.1330 0.0990  1 S 1.47, 1 H 1.48
O: 0.2179 0.8670 0.4010  1 S 1.47, 1 H 1.48
O: 0.2821 0.8670 0.9010  1 S 1.47, 1 H 1.48
O: 0.7821 0.1330 0.5990  1 S 1.47, 1 H 1.48
O: 0.7533 0.8036 0.0839  1 H 1.01
O: 0.2533 0.1964 0.4161  1 H 1.01
O: 0.2467 0.1964 0.9161  1 H 1.01
O: 0.7467 0.8036 0.5839  1 H 1.01
O: 0.7283 0.4317 0.8589  3 H 1.00-1.03
O: 0.2283 0.5683 0.6411  3 H 1.00-1.03
O: 0.2717 0.5683 0.1411  3 H 1.00-1.03
O: 0.7717 0.4317 0.3589  3 H 1.00-1.03

[2]
First-principles (meta-GGA r2SCAN) data for a relaxed KH3S2O8 crystal, as listed in the Materials Project database.

Computed properties:
V ... 12.21 Å³/atom
Final energy ... -100.60 eV per formula unit
M_tot ... 0.00 μB per cell

a b c (Å): 11.3489 7.5875 8.5693
angles (deg): 67.86 90.00 90.00
With the nearest neighbours (Å) after each atom.
Element x y z (fractional)
K: 0.7469 0.1462 0.4426  9 O 2.75-3.02
K: 0.2469 0.8538 0.0574  9 O 2.75-3.02
K: 0.2531 0.8538 0.5574  9 O 2.75-3.02
K: 0.7531 0.1462 0.9426  9 O 2.75-3.02
H: 0.9150 0.7684 0.9958  1 O 1.00
H: 0.4150 0.2316 0.5042  1 O 1.00
H: 0.0850 0.2316 0.0042  1 O 1.00
H: 0.5850 0.7684 0.4958  1 O 1.00
H: 0.9323 0.6432 0.7030  1 O 1.04
H: 0.4323 0.3568 0.7970  1 O 1.04
H: 0.0677 0.3568 0.2970  1 O 1.04
H: 0.5677 0.6432 0.2030  1 O 1.04
H: 0.8799 0.7502 0.3463  1 O 1.03
H: 0.3799 0.2498 0.1537  1 O 1.03
H: 0.1201 0.2498 0.6537  1 O 1.03
H: 0.6201 0.7502 0.8463  1 O 1.03
S: 0.0003 0.9326 0.7635  4 O 1.44-1.57
S: 0.5003 0.0674 0.7365  4 O 1.44-1.57
S: 0.9997 0.0674 0.2365  4 O 1.44-1.57
S: 0.4997 0.9326 0.2635  4 O 1.44-1.57
S: 0.7906 0.5695 0.5701  4 O 1.42-1.54
S: 0.2906 0.4305 0.9299  4 O 1.42-1.54
S: 0.2094 0.4305 0.4299  4 O 1.42-1.54
S: 0.7094 0.5695 0.0701  4 O 1.42-1.54
O: 0.1112 0.0363 0.7464  1 S 1.46, 1 H 1.52
O: 0.6112 0.9637 0.7536  1 S 1.46, 1 H 1.52
O: 0.8888 0.9637 0.2536  1 S 1.46, 1 H 1.52
O: 0.3888 0.0363 0.2464  1 S 1.46, 1 H 1.52
O: 0.8962 0.0494 0.7233  1 S 1.44
O: 0.3962 0.9506 0.7767  1 S 1.44
O: 0.1038 0.9506 0.2767  1 S 1.44
O: 0.6038 0.0494 0.2233  1 S 1.44
O: 0.0089 0.8044 0.6716  1 H 1.44, 1 S 1.47
O: 0.5089 0.1956 0.8284  1 H 1.44, 1 S 1.47
O: 0.9911 0.1956 0.3284  1 H 1.44, 1 S 1.47
O: 0.4911 0.8044 0.1716  1 H 1.44, 1 S 1.47
O: 0.9976 0.8054 0.9564  1 H 1.00
O: 0.4976 0.1946 0.5436  1 H 1.00
O: 0.0024 0.1946 0.0436  1 H 1.00
O: 0.5024 0.8054 0.4564  1 H 1.00
O: 0.7237 0.7398 0.5473  1 S 1.45
O: 0.2237 0.2602 0.9527  1 S 1.45
O: 0.2763 0.2602 0.4527  1 S 1.45
O: 0.7763 0.7398 0.0473  1 S 1.45
O: 0.7261 0.3988 0.6018  1 S 1.42
O: 0.2261 0.6012 0.8982  1 S 1.42
O: 0.2739 0.6012 0.3982  1 S 1.42
O: 0.7739 0.3988 0.1018  1 S 1.42
O: 0.8759 0.5292 0.7177  1 H 1.04
O: 0.3759 0.4708 0.7823  1 H 1.04
O: 0.1241 0.4708 0.2823  1 H 1.04
O: 0.6241 0.5292 0.2177  1 H 1.04
O: 0.8677 0.6074 0.4135  1 H 1.03
O: 0.3677 0.3926 0.0865  1 H 1.03
O: 0.1323 0.3926 0.5865  1 H 1.03
O: 0.6323 0.6074 0.9135  1 H 1.03

[3]
First-principles (meta-GGA r2SCAN) data for a relaxed K3TbSi3H2O10 crystal, as listed in the Materials Project database.

Computed properties:
V ... 13.80 Å³/atom
Final energy ... -193.59 eV per formula unit
M_tot ... 0.00 μB per cell

a b c (Å): 5.8898 13.2104 13.4804
angles (deg): 90.00 90.00 90.00
With the nearest neighbours (Å) after each atom.
Element x y z (fractional)
K: 0.4236 0.1283 0.7500  4 O 2.64-2.93, 2 H 2.85
K: 0.0865 0.1381 0.5164  6 O 2.72-2.96, 1 H 3.00
K: 0.0865 0.1381 0.9836  6 O 2.72-2.96, 1 H 3.00
K: 0.5865 0.3619 0.4836  6 O 2.72-2.96, 1 H 3.00
K: 0.5865 0.3619 0.0164  6 O 2.72-2.96, 1 H 3.00
K: 0.9236 0.3717 0.2500  4 O 2.64-2.93, 2 H 2.85
K: 0.0764 0.6283 0.7500  4 O 2.64-2.93, 2 H 2.85
K: 0.4135 0.6381 0.5164  6 O 2.72-2.96, 1 H 3.00
K: 0.4135 0.6381 0.9836  6 O 2.72-2.96, 1 H 3.00
K: 0.9135 0.8619 0.0164  6 O 2.72-2.96, 1 H 3.00
K: 0.9135 0.8619 0.4836  6 O 2.72-2.96, 1 H 3.00
K: 0.5764 0.8717 0.2500  4 O 2.64-2.93, 2 H 2.85
Tb: 0.0837 0.0402 0.2500  6 O 2.22-2.33
Tb: 0.5837 0.4598 0.7500  6 O 2.22-2.33
Tb: 0.4163 0.5402 0.2500  6 O 2.22-2.33
Tb: 0.9163 0.9598 0.7500  6 O 2.22-2.33
Si: 0.5869 0.0980 0.1017  4 O 1.61-1.67
Si: 0.5869 0.0980 0.3983  4 O 1.61-1.67
Si: 0.9189 0.2486 0.7500  4 O 1.60-1.66
Si: 0.4189 0.2514 0.2500  4 O 1.60-1.66
Si: 0.0869 0.4020 0.6017  4 O 1.61-1.67
Si: 0.0869 0.4020 0.8983  4 O 1.61-1.67
Si: 0.9131 0.5980 0.1017  4 O 1.61-1.67
Si: 0.9131 0.5980 0.3983  4 O 1.61-1.67
Si: 0.5811 0.7486 0.7500  4 O 1.60-1.66
Si: 0.0811 0.7514 0.2500  4 O 1.60-1.66
Si: 0.4131 0.9020 0.6017  4 O 1.61-1.67
Si: 0.4131 0.9020 0.8983  4 O 1.61-1.67
H: 0.6115 0.0713 0.5633  1 O 1.01
H: 0.6115 0.0713 0.9367  1 O 1.01
H: 0.1115 0.4287 0.0633  1 O 1.01
H: 0.1115 0.4287 0.4367  1 O 1.01
H: 0.8885 0.5713 0.9367  1 O 1.01
H: 0.8885 0.5713 0.5633  1 O 1.01
H: 0.3885 0.9287 0.0633  1 O 1.01
H: 0.3885 0.9287 0.4367  1 O 1.01
O: 0.3664 0.0304 0.1291  1 H 1.62, 1 Si 1.62
O: 0.3664 0.0304 0.3709  1 H 1.62, 1 Si 1.62
O: 0.8218 0.0424 0.1277  1 Si 1.61
O: 0.8218 0.0424 0.3723  1 Si 1.61
O: 0.9317 0.1280 0.7500  1 Si 1.60
O: 0.5844 0.1307 0.5180  1 H 1.01
O: 0.5844 0.1307 0.9820  1 H 1.01
O: 0.1690 0.2045 0.2500  1 Si 1.60
O: 0.5675 0.2109 0.1531  2 Si 1.65-1.66
O: 0.5675 0.2109 0.3469  2 Si 1.65-1.66
O: 0.0675 0.2891 0.6531  2 Si 1.65-1.66
O: 0.0675 0.2891 0.8469  2 Si 1.65-1.66
O: 0.6690 0.2955 0.7500  1 Si 1.60
O: 0.0844 0.3693 0.4820  1 H 1.01
O: 0.0844 0.3693 0.0180  1 H 1.01
O: 0.4317 0.3720 0.2500  1 Si 1.60
O: 0.3218 0.4576 0.6277  1 Si 1.61
O: 0.3218 0.4576 0.8723  1 Si 1.61
O: 0.8664 0.4696 0.6291  1 H 1.62, 1 Si 1.62
O: 0.8664 0.4696 0.8709  1 H 1.62, 1 Si 1.62
O: 0.1336 0.5304 0.1291  1 H 1.62, 1 Si 1.62
O: 0.1336 0.5304 0.3709  1 H 1.62, 1 Si 1.62
O: 0.6782 0.5424 0.1277  1 Si 1.61
O: 0.6782 0.5424 0.3723  1 Si 1.61
O: 0.5683 0.6280 0.7500  1 Si 1.60
O: 0.9156 0.6307 0.9820  1 H 1.01
O: 0.9156 0.6307 0.5180  1 H 1.01
O: 0.3310 0.7045 0.2500  1 Si 1.60
O: 0.9325 0.7109 0.1531  2 Si 1.65-1.66
O: 0.9325 0.7109 0.3469  2 Si 1.65-1.66
O: 0.4325 0.7891 0.6531  2 Si 1.65-1.66
O: 0.4325 0.7891 0.8469  2 Si 1.65-1.66
O: 0.8310 0.7955 0.7500  1 Si 1.60
O: 0.4156 0.8693 0.0180  1 H 1.01
O: 0.4156 0.8693 0.4820  1 H 1.01
O: 0.0683 0.8720 0.2500  1 Si 1.60
O: 0.1782 0.9576 0.6277  1 Si 1.61
O: 0.1782 0.9576 0.8723  1 Si 1.61
O: 0.6336 0.9696 0.6291  1 H 1.62, 1 Si 1.62
O: 0.6336 0.9696 0.8709  1 H 1.62, 1 Si 1.62

[4]
First-principles (meta-GGA r2SCAN) data for a relaxed K2H4Pd crystal, as listed in the Materials Project database.

Computed properties:
V ... 18.44 Å³/atom
Final energy ... -51.32 eV per formula unit
M_tot ... 0.00 μB per cell

a b c (Å): 5.6043 5.6043 5.6043
angles (deg): 117.28 117.28 94.78
With the nearest neighbours (Å) after each atom.
Element x y z (fractional)
K: 0.2500 0.7500 0.5000  8 H 2.83
K: 0.7500 0.2500 0.5000  8 H 2.83
H: 0.1998 0.1998 0.3996  1 Pd 1.65
H: 0.8002 0.8002 0.6004  1 Pd 1.65
H: 0.1998 0.8002 0.0000  1 Pd 1.65
H: 0.8002 0.1998 0.0000  1 Pd 1.65
Pd: 0.0000 0.0000 0.0000  4 H 1.65

[5]
First-principles (meta-GGA r2SCAN) data for a relaxed K3H5Pt crystal, as listed in the Materials Project database.

Computed properties:
V ... 17.20 Å³/atom
Final energy ... -90.79 eV per formula unit
M_tot ... 0.00 μB per cell

a b c (Å): 7.3601 7.3601 5.7141
angles (deg): 90.00 90.00 90.00
With the nearest neighbours (Å) after each atom.
Element x y z (fractional)
K: 0.5000 0.5000 0.0000  10 H 2.86-3.18
K: 0.0000 0.0000 0.0000  10 H 2.86-3.18
K: 0.1838 0.6838 0.5000  8 H 2.69-2.82
K: 0.8162 0.3162 0.5000  8 H 2.69-2.82
K: 0.6838 0.8162 0.5000  8 H 2.69-2.82
K: 0.3162 0.1838 0.5000  8 H 2.69-2.82
H: 0.5000 0.5000 0.5000  6 K 2.69-2.86
H: 0.0000 0.0000 0.5000  6 K 2.69-2.86
H: 0.6131 0.1131 0.7986  1 Pt 1.65
H: 0.3869 0.8869 0.7986  1 Pt 1.65
H: 0.1131 0.3869 0.7986  1 Pt 1.65
H: 0.8869 0.6131 0.7986  1 Pt 1.65
H: 0.3869 0.8869 0.2014  1 Pt 1.65
H: 0.6131 0.1131 0.2014  1 Pt 1.65
H: 0.8869 0.6131 0.2014  1 Pt 1.65
H: 0.1131 0.3869 0.2014  1 Pt 1.65
Pt: 0.5000 0.0000 0.0000  4 H 1.65
Pt: 0.0000 0.5000 0.0000  4 H 1.65

[6]
First-principles (meta-GGA r2SCAN) data for a relaxed KHS crystal, as listed in the Materials Project database.

Computed properties:
V ... 23.13 Å³/atom
Final energy ... -20.22 eV per formula unit
M_tot ... 0.00 μB per cell

a b c (Å): 4.3316 4.3316 4.3316
angles (deg): 70.00 70.00 70.00
With the nearest neighbours (Å) after each atom.
Element x y z (fractional)
K: 0.0037 0.0037 0.0037  3 H 2.88
H: 0.6427 0.6427 0.6427  1 S 1.34
S: 0.5046 0.5046 0.5046  1 H 1.34